Material: Ti3P
Method: DFT, r²SCAN
State: optimized geometry

Summary:
- DFT total energy: -12.860 eV per atom
- Calculated formation energy: -0.907 eV per atom

abc: 4.9752 9.9387 9.9387
angles: 90.00 90.00 90.00
Fractional coordinates of all 32 atoms:
Ti  0.7850  0.6431  0.1669
Ti  0.7150  0.3331  0.6431
Ti  0.7600  0.9312  0.0337
Ti  0.7400  0.4663  0.9312
Ti  0.7600  0.5688  0.4663
Ti  0.9685  0.2784  0.1104
Ti  0.2850  0.8331  0.1431
Ti  0.4685  0.6104  0.7216
Ti  0.2150  0.1431  0.6669
Ti  0.2600  0.9663  0.4312
Ti  0.5315  0.3896  0.2784
Ti  0.2600  0.5337  0.0688
Ti  0.2150  0.3569  0.8331
Ti  0.2400  0.0688  0.9663
Ti  0.2850  0.6669  0.3569
Ti  0.9685  0.2216  0.3896
Ti  0.4685  0.8896  0.7784
Ti  0.7150  0.1669  0.8569
Ti  0.0315  0.7784  0.6104
Ti  0.7400  0.0337  0.5688
Ti  0.5315  0.1104  0.2216
Ti  0.7850  0.8569  0.3331
Ti  0.2400  0.4312  0.5337
Ti  0.0315  0.7216  0.8896
P  0.4636  0.2086  0.4566
P  0.9636  0.9566  0.7914
P  0.4636  0.2914  0.0434
P  0.0364  0.4566  0.2914
P  0.5364  0.7086  0.9566
P  0.0364  0.0434  0.2086
P  0.5364  0.7914  0.5434
P  0.9636  0.5434  0.7086


Material: Nb3Se12I
Method: DFT, r²SCAN
State: optimized geometry

Summary:
- DFT total energy: -17.540 eV per atom
- Calculated formation energy: -0.634 eV per atom

abc: 9.7247 9.7247 19.3422
angles: 90.00 90.00 90.00
Fractional coordinates of all 64 atoms:
Se  0.8928  0.3037  0.0000
Se  0.1819  0.3751  0.6604
Se  0.9835  0.7206  0.5000
Se  0.7111  0.9540  0.6720
Se  0.0460  0.7111  0.6720
Se  0.6819  0.1249  0.1604
Se  0.8751  0.6819  0.1604
Se  0.2889  0.0460  0.3280
Se  0.3181  0.8751  0.8396
Se  0.7111  0.9540  0.3280
Se  0.7889  0.4540  0.8280
Se  0.5165  0.2206  0.0000
Se  0.1249  0.3181  0.1604
Se  0.7889  0.4540  0.1720
Se  0.2794  0.9835  0.5000
Se  0.4540  0.2111  0.1720
Se  0.4835  0.7794  0.0000
Se  0.0460  0.7111  0.3280
Se  0.9540  0.2889  0.6720
Se  0.1249  0.3181  0.8396
Se  0.7794  0.5165  0.0000
Se  0.6249  0.1819  0.6604
Se  0.3181  0.8751  0.1604
Se  0.1819  0.3751  0.3396
Se  0.7206  0.0165  0.5000
Se  0.0165  0.2794  0.5000
Se  0.6249  0.1819  0.3396
Se  0.8037  0.3928  0.5000
Se  0.9540  0.2889  0.3280
Se  0.3037  0.1072  0.0000
Se  0.1072  0.6963  0.0000
Se  0.1963  0.6072  0.5000
Se  0.8181  0.6249  0.6604
Se  0.8181  0.6249  0.3396
Se  0.5460  0.7889  0.1720
Se  0.6963  0.8928  0.0000
Se  0.5460  0.7889  0.8280
Se  0.2111  0.5460  0.1720
Se  0.6819  0.1249  0.8396
Se  0.3928  0.1963  0.5000
Se  0.8751  0.6819  0.8396
Se  0.3751  0.8181  0.3396
Se  0.6072  0.8037  0.5000
Se  0.2111  0.5460  0.8280
Se  0.2889  0.0460  0.6720
Se  0.3751  0.8181  0.6604
Se  0.2206  0.4835  0.0000
Se  0.4540  0.2111  0.8280
Nb  0.5000  0.0000  0.7500
Nb  0.5000  0.0000  0.4205
Nb  0.0000  0.5000  0.4205
Nb  0.5000  0.0000  0.2500
Nb  0.0000  0.5000  0.0795
Nb  0.0000  0.5000  0.2500
Nb  0.5000  0.0000  0.9205
Nb  0.0000  0.5000  0.7500
Nb  0.5000  0.0000  0.5795
Nb  0.5000  0.0000  0.0795
Nb  0.0000  0.5000  0.5795
Nb  0.0000  0.5000  0.9205
I  0.5000  0.5000  0.6324
I  0.0000  0.0000  0.8676
I  0.5000  0.5000  0.3676
I  0.0000  0.0000  0.1324


Material: La4Cu5As8
Method: DFT, r²SCAN
State: optimized geometry

Summary:
- DFT total energy: -18.043 eV per atom
- Calculated formation energy: -0.933 eV per atom

abc: 10.5462 10.5462 5.8454
angles: 90.00 90.00 148.31
Fractional coordinates of all 17 atoms:
Cu  0.9952  0.4954  0.2444
Cu  0.9952  0.4954  0.7556
Cu  0.5046  0.0048  0.2444
Cu  0.5046  0.0048  0.7556
Cu  0.4413  0.5587  0.5000
As  0.7777  0.7769  0.2348
As  0.7777  0.7769  0.7652
As  0.2231  0.2223  0.2348
As  0.6786  0.3214  0.5000
As  0.8231  0.1769  0.0000
As  0.3196  0.6804  0.5000
As  0.1787  0.8213  0.0000
As  0.2231  0.2223  0.7652
La  0.1221  0.8779  0.5000
La  0.3790  0.6210  0.0000
La  0.8764  0.1236  0.5000
La  0.6202  0.3798  0.0000


Material: ZrNi2
Method: DFT, r²SCAN
State: optimized geometry

Summary:
- DFT total energy: -15.964 eV per atom
- Calculated formation energy: -0.393 eV per atom

abc: 4.8875 4.8875 4.8875
angles: 60.00 60.00 60.00
Fractional coordinates of all 6 atoms:
Ni  0.5000  0.5000  0.5000
Ni  0.0000  0.5000  0.5000
Ni  0.5000  0.0000  0.5000
Ni  0.5000  0.5000  0.0000
Zr  0.8750  0.8750  0.8750
Zr  0.1250  0.1250  0.1250


Material: Ca3MgC4O12
Method: DFT, r²SCAN
State: optimized geometry

Summary:
- DFT total energy: -9.196 eV per atom
- Excess energy over the best structure of this formula in the dataset: 0.08 eV/f.u.
- Calculated formation energy: -2.359 eV per atom

abc: 4.8757 6.1498 8.5208
angles: 104.42 89.10 112.72
Fractional coordinates of all 20 atoms:
O  0.9933  0.7500  0.4970
O  0.6005  0.7502  0.6340
O  0.0203  0.7947  0.7656
O  0.4443  0.2296  0.0003
O  0.1242  0.7628  0.0960
O  0.9797  0.2053  0.2344
O  0.4589  0.7219  0.2495
O  0.5411  0.2781  0.7505
O  0.0067  0.2500  0.5030
O  0.3995  0.2498  0.3660
O  0.8758  0.2372  0.9040
O  0.5557  0.7704  0.9997
Mg  0.0000  0.0000  0.0000
C  0.1298  0.2357  0.3675
C  0.6163  0.2439  0.8838
C  0.8702  0.7643  0.6325
C  0.3837  0.7561  0.1162
Ca  0.2297  0.5047  0.7637
Ca  0.7703  0.4953  0.2363
Ca  0.5000  0.0000  0.5000


Material: SrO
Method: DFT, r²SCAN
State: optimized geometry

Summary:
- DFT total energy: -13.531 eV per atom
- Calculated formation energy: -2.972 eV per atom

abc: 3.6540 3.6540 3.6540
angles: 60.00 60.00 60.00
Fractional coordinates of all 2 atoms:
O  0.0000  0.0000  0.0000
Sr  0.5000  0.5000  0.5000


Look up the calculated formation energy of the fifth one.
-2.359 eV per atom


Which value of calculated formation energy does entry 5 give?
-2.359 eV per atom